LiBi4O7 | PBE-GGA | optimized geometry

```
24
Lattice="2.191 1.124 6.371 -5.669 4.295 1.845 -2.263 -7.855 -0.892" Properties=species:S:1:pos:R:3 pbc="T T T"
Bi -1.951 -5.726 1.696
Bi -3.494 1.229 2.420
Bi -4.644 -2.857 1.767
Bi -3.791 3.290 5.629
Bi -0.967 -1.953 1.981
Bi -1.098 0.422 5.557
Bi -2.247 -3.665 4.904
Bi -4.774 -0.483 5.343
O 1.083 -0.720 6.012
O -5.055 -2.594 4.153
O -1.797 2.788 6.549
O -0.687 0.158 3.172
O -3.945 -5.223 0.776
O -0.081 -2.805 4.116
O -1.239 -5.593 4.156
O -2.412 -1.378 5.769
O -4.503 3.157 3.168
O -2.554 -3.614 2.498
O -6.825 -1.716 1.312
O -3.188 1.179 4.826
O -5.660 0.369 3.209
O -3.330 -1.058 1.555
Li -1.132 -3.927 -0.446
Li 0.000 0.000 0.000
```

ΔH_f (0 K): -1.592 eV per atom
MP2020-corrected energy: -5.934 eV per atom
SG: P-1 (2)